Record 1
# CaMnN2

Crystalline CaMnN2 at its relaxed geometry (PBE-GGA, Materials Project).

a b c (Å): 5.4080 10.4623 14.8227
angles (deg): 90.00 90.00 90.00
Fractional positions:
Ca  0.7753  0.9856  0.9316
N  0.6929  0.0740  0.5873
N  0.6929  0.4260  0.0873
Ca  0.2753  0.9856  0.5684
Mn  0.3477  0.2704  0.4378
Ca  0.4004  0.2199  0.6891
Mn  0.1523  0.7296  0.9378
N  0.8143  0.7240  0.9572
N  0.2812  0.1741  0.3382
Ca  0.5996  0.7801  0.3109
N  0.6857  0.2760  0.4572
Mn  0.7203  0.0112  0.1883
Mn  0.2203  0.0112  0.3117
N  0.5963  0.0367  0.7838
Ca  0.2247  0.4856  0.5684
N  0.4037  0.9633  0.2162
Mn  0.8477  0.2704  0.0622
Ca  0.9004  0.2199  0.8109
Mn  0.7797  0.5112  0.1883
Mn  0.2797  0.5112  0.3117
Ca  0.7753  0.5144  0.4316
N  0.8071  0.9260  0.0873
Ca  0.2753  0.5144  0.0684
N  0.7188  0.6741  0.1618
Ca  0.0996  0.7199  0.6891
N  0.6857  0.2240  0.9572
N  0.4037  0.5367  0.7162
N  0.8071  0.5740  0.5873
N  0.2812  0.3259  0.8382
Mn  0.2797  0.9888  0.8117
N  0.1929  0.0740  0.9127
Mn  0.3477  0.2296  0.9378
N  0.0963  0.4633  0.2162
N  0.3071  0.9260  0.4127
N  0.9037  0.9633  0.2838
Mn  0.1523  0.7704  0.4378
Mn  0.2203  0.4888  0.8117
Ca  0.4004  0.2801  0.1891
Ca  0.0996  0.7801  0.1891
N  0.2188  0.8259  0.8382
N  0.2188  0.6741  0.3382
N  0.9037  0.5367  0.7838
Mn  0.6523  0.7296  0.5622
N  0.5963  0.4633  0.2838
N  0.0963  0.0367  0.7162
N  0.3071  0.5740  0.9127
N  0.1929  0.4260  0.4127
N  0.8143  0.7760  0.4572
N  0.3143  0.7240  0.5428
Ca  0.7247  0.0144  0.4316
N  0.7812  0.3259  0.6618
N  0.7812  0.1741  0.1618
Mn  0.6523  0.7704  0.0622
N  0.3143  0.7760  0.0428
Ca  0.9004  0.2801  0.3109
N  0.1857  0.2240  0.5428
Mn  0.7797  0.9888  0.6883
N  0.7188  0.8259  0.6618
Mn  0.8477  0.2296  0.5622
Ca  0.5996  0.7199  0.8109
Ca  0.7247  0.4856  0.9316
Mn  0.7203  0.4888  0.6883
Ca  0.2247  0.0144  0.0684
N  0.1857  0.2760  0.0428

Results
Symmetry = Pbca, No. 61
Density = 3897 kg/m³
Crystal system = orthorhombic
ΔH_f (0 K) = -0.789 eV per atom

Record 2
# Ca5MnN4

Crystalline Ca5MnN4 at its relaxed geometry (PBE-GGA, Materials Project).

a b c (Å): 7.9965 7.3376 5.8329
angles (deg): 90.00 90.00 90.00
Fractional positions:
Ca  0.0557  0.4900  0.7586
Ca  0.9443  0.9900  0.2414
N  0.2500  0.5357  0.1303
Ca  0.5557  0.5100  0.2414
N  0.2500  0.9643  0.1303
N  0.7500  0.4643  0.8697
N  0.9645  0.2500  0.5072
Ca  0.9443  0.5100  0.2414
N  0.7500  0.0357  0.8697
Mn  0.7500  0.2500  0.6815
Mn  0.2500  0.7500  0.3185
Ca  0.5557  0.9900  0.2414
Ca  0.4443  0.0100  0.7586
N  0.0355  0.7500  0.4928
N  0.4645  0.7500  0.4928
Ca  0.7500  0.7500  0.6797
Ca  0.4443  0.4900  0.7586
N  0.5355  0.2500  0.5072
Ca  0.2500  0.2500  0.3203
Ca  0.0557  0.0100  0.7586

Results
Symmetry = Pmmn, No. 59
Density = 3021 kg/m³
Crystal system = orthorhombic
ΔH_f (0 K) = -0.674 eV per atom

Record 3
# CaMn2N2

Crystalline CaMn2N2 at its relaxed geometry (PBE-GGA, Materials Project).

a b c (Å): 3.2666 3.2666 6.7752
angles (deg): 90.00 90.00 90.00
Fractional positions:
N  0.5000  0.0000  0.7559
N  0.0000  0.5000  0.2441
Ca  0.5000  0.5000  0.0000
Mn  0.0000  0.0000  0.6479
Mn  0.0000  0.0000  0.3521

Results
Symmetry = P-4m2, No. 115
Density = 4088 kg/m³
Crystal system = tetragonal
ΔH_f (0 K) = -0.254 eV per atom

Record 4
# Ca2MnN3

Crystalline Ca2MnN3 at its relaxed geometry (PBE-GGA, Materials Project).

a b c (Å): 5.9150 5.9150 11.6254
angles (deg): 90.00 90.00 125.06
Fractional positions:
Ca  0.5513  0.4487  0.6444
N  0.0364  0.4636  0.7500
Ca  0.4487  0.5513  0.3556
Mn  0.2541  0.7459  0.1609
N  0.8434  0.1566  0.9613
Ca  0.8606  0.1394  0.5770
N  0.1566  0.8434  0.0387
N  0.0795  0.9205  0.6344
N  0.5364  0.9636  0.7500
Ca  0.1394  0.8606  0.4230
Mn  0.7541  0.2459  0.3391
Ca  0.9487  0.0513  0.1444
Ca  0.6394  0.3606  0.0770
Ca  0.3606  0.6394  0.9230
N  0.9205  0.0795  0.3656
N  0.4636  0.0364  0.2500
Mn  0.7459  0.2541  0.8391
N  0.9636  0.5364  0.2500
N  0.5795  0.4205  0.8656
N  0.4205  0.5795  0.1344
N  0.6566  0.3434  0.4613
N  0.3434  0.6566  0.5387
Mn  0.2459  0.7541  0.6609
Ca  0.0513  0.9487  0.8556

Results
Symmetry = Cmce, No. 64
Density = 3533 kg/m³
Crystal system = orthorhombic
ΔH_f (0 K) = -0.986 eV per atom

Record 5
# Ca11Mn2N10

Crystalline Ca11Mn2N10 at its relaxed geometry (PBE-GGA, Materials Project).

a b c (Å): 6.2153 6.2153 12.2948
angles (deg): 89.73 89.73 117.60
Fractional positions:
Ca  0.4152  0.4152  0.3774
N  0.2451  0.2451  0.7263
Mn  0.0192  0.0192  0.2554
Ca  0.9783  0.5912  0.1241
N  0.0016  0.2879  0.2627
N  0.7396  0.7396  0.2558
Ca  0.0010  0.6110  0.3861
N  0.3025  0.6800  0.0084
Ca  0.3905  0.3905  0.0830
Ca  0.4442  0.0028  0.8833
N  0.6663  0.3338  0.5018
N  0.6800  0.3025  0.0084
N  0.3338  0.6663  0.5018
N  0.7234  0.0094  0.7347
N  0.2879  0.0016  0.2627
Ca  0.5863  0.5863  0.6346
Ca  0.5912  0.9783  0.1241
Mn  0.9822  0.9822  0.7526
N  0.0094  0.7234  0.7347
Ca  0.0028  0.4442  0.8833
Ca  0.9975  0.3855  0.6155
Ca  0.6110  0.0010  0.3861
Ca  0.3855  0.9975  0.6155

Results
Symmetry = Cm, No. 8
Density = 2726 kg/m³
Crystal system = monoclinic
ΔH_f (0 K) = -0.932 eV per atom

Record 6
# Ca8Mn3N9

Crystalline Ca8Mn3N9 at its relaxed geometry (PBE-GGA, Materials Project).

a b c (Å): 7.1896 10.1201 18.0227
angles (deg): 90.00 106.15 90.00
Fractional positions:
N  0.6580  0.5421  0.8068
Ca  0.2241  0.8812  0.5707
N  0.5751  0.2327  0.8191
N  0.1709  0.6160  0.5222
N  0.7532  0.3845  0.2135
Ca  0.5224  0.3734  0.0811
Mn  0.2045  0.8829  0.9303
Mn  0.7995  0.8675  0.5616
N  0.4249  0.7673  0.1809
N  0.3420  0.0421  0.6932
N  0.9949  0.6259  0.3492
Ca  0.4776  0.8734  0.4189
Ca  0.5168  0.6267  0.5761
N  0.9949  0.8741  0.8492
N  0.0213  0.1450  0.3497
N  0.8291  0.3840  0.4778
Ca  0.0162  0.3797  0.1461
N  0.0051  0.1259  0.1508
N  0.1499  0.1292  0.5255
Mn  0.2045  0.6171  0.4303
N  0.5751  0.2673  0.3191
Mn  0.5411  0.1240  0.7451
Ca  0.9838  0.8797  0.3539
Ca  0.4776  0.6266  0.9189
N  0.4364  0.3807  0.9360
Ca  0.4832  0.1267  0.9239
N  0.2468  0.8845  0.2865
Ca  0.7759  0.3812  0.9293
Ca  0.1889  0.3709  0.5497
Mn  0.4589  0.6240  0.7549
N  0.4249  0.7327  0.6809
N  0.8501  0.8708  0.4745
N  0.3420  0.4579  0.1932
N  0.9787  0.6450  0.1503
Ca  0.7215  0.6250  0.2166
Ca  0.2785  0.1250  0.2834
N  0.8291  0.1160  0.9778
N  0.2468  0.6155  0.7865
N  0.1709  0.8840  0.0222
Ca  0.0759  0.8791  0.1458
N  0.5636  0.6193  0.0640
Ca  0.2241  0.6188  0.0707
N  0.4400  0.8777  0.9219
N  0.9787  0.8550  0.6503
N  0.1499  0.3708  0.0255
N  0.8501  0.6292  0.9745
Mn  0.4589  0.8760  0.2549
Ca  0.2503  0.6352  0.2700
N  0.0051  0.3741  0.6508
Ca  0.9241  0.3791  0.3542
Ca  0.4832  0.3733  0.4239
Ca  0.7497  0.1352  0.2300
Ca  0.7759  0.1188  0.4293
N  0.7532  0.1155  0.7135
N  0.0213  0.3550  0.8497
Mn  0.5411  0.3760  0.2451
Ca  0.5224  0.1266  0.5811
Mn  0.7955  0.3829  0.5697
Ca  0.8111  0.6291  0.4503
N  0.4364  0.1193  0.4360
Ca  0.9838  0.6203  0.8539
Ca  0.0162  0.1203  0.6461
Ca  0.1889  0.1291  0.0497
Mn  0.7995  0.6325  0.0616
Ca  0.9241  0.1209  0.8542
N  0.5600  0.1223  0.0781
Ca  0.8111  0.8709  0.9503
Ca  0.7497  0.3648  0.7300
Mn  0.7955  0.1171  0.0697
Ca  0.5168  0.8733  0.0761
N  0.5636  0.8807  0.5640
N  0.6580  0.9579  0.3068
Ca  0.7215  0.8750  0.7166
N  0.5600  0.3777  0.5781
N  0.4400  0.6223  0.4219
Ca  0.2785  0.3750  0.7834
Ca  0.0759  0.6209  0.6458
Mn  0.2005  0.3675  0.9384
Mn  0.2005  0.1325  0.4384
Ca  0.2503  0.8648  0.7700

Results
Symmetry = P2_1/c, No. 14
Density = 3225 kg/m³
Crystal system = monoclinic
ΔH_f (0 K) = -0.994 eV per atom

Record 7
# Ca7Mn2N6

Crystalline Ca7Mn2N6 at its relaxed geometry (PBE-GGA, Materials Project).

a b c (Å): 6.8024 11.4190 5.7864
angles (deg): 90.00 88.44 32.93
Fractional positions:
Ca  0.0000  0.6504  0.5000
Ca  0.0000  0.5000  0.0000
N  0.4022  0.9563  0.7547
N  0.5978  0.3585  0.2453
Ca  0.7083  0.9914  0.8192
Ca  0.2917  0.6997  0.1808
Mn  0.3712  0.8144  0.6342
N  0.5978  0.0437  0.2453
Mn  0.6288  0.1856  0.3658
Ca  0.2917  0.0086  0.1808
N  0.4022  0.6415  0.7547
Ca  0.0000  0.3496  0.5000
N  0.6401  0.6799  0.3369
N  0.3599  0.3201  0.6631
Ca  0.7083  0.3003  0.8192

Results
Symmetry = C2/m, No. 12
Density = 3229 kg/m³
Crystal system = monoclinic
ΔH_f (0 K) = -0.766 eV per atom

Record 8
# CaMnN2

Crystalline CaMnN2 at its relaxed geometry (PBE-GGA, Materials Project).

a b c (Å): 3.0886 3.0887 10.6457
angles (deg): 90.00 90.00 120.00
Fractional positions:
N  0.3334  0.6668  0.4019
N  0.6666  0.3332  0.9019
N  0.3334  0.6668  0.0981
Ca  0.6667  0.3335  0.2500
Mn  0.0000  0.0000  0.0000
Ca  0.3333  0.6665  0.7500
Mn  0.0000  0.0000  0.5000
N  0.6666  0.3332  0.5981

Results
Symmetry = P6_3/mmc, No. 194
Density = 4646 kg/m³
Crystal system = hexagonal
ΔH_f (0 K) = -0.755 eV per atom